{"formula": "Li9Mn2Co5O16", "functional": "GGA+U", "state": "relaxed", "relative_energy_mev_per_atom": 51.8, "crystal_system": "monoclinic", "total_magnetization_mub_per_fu": 8.000, "cell": [[1.459, 10.388, 0.000], [-1.459, 10.388, 0.000], [0.000, 2.920, 9.453]], "species": ["Li", "Li", "Li", "Li", "Li", "Li", "Li", "Li", "Li", "Mn", "Mn", "Co", "Co", "Co", "Co", "Co", "O", "O", "O", "O", "O", "O", "O", "O", "O", "O", "O", "O", "O", "O", "O", "O"], "fractional_positions": [[0.431, 0.431, 0.796], [0.318, 0.318, 0.440], [0.186, 0.186, 0.073], [0.813, 0.813, 0.930], [0.687, 0.687, 0.558], [0.563, 0.563, 0.201], [0.063, 0.063, 0.671], [0.936, 0.936, 0.327], [0.874, 0.874, 0.628], [0.003, 0.003, 0.994], [0.252, 0.252, 0.751], [0.748, 0.748, 0.255], [0.626, 0.626, 0.874], [0.490, 0.490, 0.508], [0.373, 0.373, 0.125], [0.121, 0.121, 0.379], [0.534, 0.534, 0.859], [0.411, 0.411, 0.467], [0.284, 0.284, 0.102], [0.914, 0.914, 0.976], [0.775, 0.775, 0.617], [0.657, 0.657, 0.225], [0.156, 0.156, 0.741], [0.034, 0.034, 0.350], [0.333, 0.333, 0.785], [0.219, 0.219, 0.400], [0.095, 0.095, 0.010], [0.716, 0.716, 0.891], [0.595, 0.595, 0.524], [0.475, 0.475, 0.130], [0.971, 0.971, 0.649], [0.847, 0.847, 0.266]]}